(1)
NaCa2Mg5AlSi7O22F2 (PBE, relaxed); formation energy = -3.328 eV/atom; total magnetic moment = 0.0 μB per formula unit; uncorrected energy = -7.120 eV/atom; space-group type = P1 (1); MP2020-corrected energy = -7.521 eV per atom
1.0
5.333 0.000 0.000
2.552 9.649 0.000
1.286 4.801 9.100
Na Ca Mg Al Si O F
1 2 5 1 7 22 2
Cartesian
0.000 0.000 0.000
5.211 9.717 4.148
3.975 4.781 5.178
3.945 4.902 1.679
5.239 9.736 7.540
6.589 4.913 0.050
7.883 9.746 5.974
6.617 4.889 3.300
7.002 12.408 7.631
4.314 12.537 6.016
3.057 7.655 3.215
2.155 2.218 1.587
3.450 7.018 7.641
5.745 7.603 1.617
4.834 2.114 3.161
6.111 6.922 6.054
0.923 1.548 2.462
2.207 6.382 6.757
3.325 8.419 4.601
2.155 3.830 1.596
2.092 3.538 4.567
3.487 8.626 7.628
4.326 10.883 6.031
3.051 6.026 3.182
1.927 1.618 0.063
5.512 13.107 7.016
4.313 8.203 2.213
3.567 1.584 2.160
4.858 6.381 7.067
6.009 8.242 0.153
6.107 8.551 6.039
4.845 3.743 3.158
5.727 5.976 1.637
7.012 10.677 7.608
5.839 6.160 4.678
7.122 10.988 4.534
5.674 3.492 6.597
6.946 8.226 2.580
3.069 5.874 0.081
4.807 3.872 0.112

---

(2)
CaNb4O8 (PBE, relaxed); formation energy = -2.967 eV/atom; uncorrected energy = -8.852 eV/atom; space-group type = Cm (8); MP2020-corrected energy = -9.274 eV per atom
1.0
4.904 -5.218 0.000
4.904 5.218 0.000
-0.818 0.000 9.772
Ca Nb O
3 12 24
Cartesian
0.000 0.000 0.000
2.425 0.000 2.647
4.687 0.000 5.086
2.731 2.282 0.036
4.731 2.933 2.730
4.353 2.267 7.613
2.255 0.000 7.769
4.050 0.000 9.690
2.731 -2.282 0.036
7.232 2.274 4.994
4.353 -2.267 7.613
4.731 -2.933 2.730
7.550 0.000 2.890
9.311 0.000 4.835
7.232 -2.274 4.994
0.835 1.377 8.333
3.140 3.408 8.742
3.784 3.769 6.113
2.942 1.374 6.410
3.533 1.735 3.844
5.819 3.841 4.201
0.835 -1.377 8.333
4.113 1.385 1.261
6.165 3.583 1.391
5.759 1.739 6.242
2.942 -1.374 6.410
5.363 1.456 9.170
6.150 1.391 3.469
3.533 -1.735 3.844
4.113 -1.385 1.261
8.235 1.395 1.535
3.140 -3.408 8.742
5.363 -1.456 9.170
6.150 -1.391 3.469
3.784 -3.769 6.113
5.759 -1.739 6.242
6.165 -3.583 1.391
8.235 -1.395 1.535
5.819 -3.841 4.201

---

(3)
ZrAlCr (PBE, relaxed); formation energy = -0.240 eV/atom; total magnetic moment = 0.1 μB per formula unit; uncorrected energy = -7.556 eV/atom; space-group type = Amm2 (38)
1.0
8.604 0.000 0.000
0.000 2.588 4.451
0.000 -2.588 4.451
Zr Al Cr
4 4 4
Cartesian
1.537 0.000 0.000
2.663 0.000 5.919
5.941 0.000 5.919
7.067 0.000 0.000
2.065 0.000 2.892
4.302 -1.315 3.719
4.302 1.315 3.719
6.539 0.000 2.892
0.000 0.000 4.501
0.000 -1.197 6.577
0.000 1.197 6.577
4.302 0.000 1.455

---

(4)
TiCrCuS4 (PBE, relaxed); formation energy = -0.984 eV/atom; total magnetic moment = 3.0 μB per formula unit; uncorrected energy = -6.153 eV/atom; space-group type = Pmn2_1 (31); MP2020-corrected energy = -6.440 eV per atom
1.0
3.412 0.000 0.000
0.000 11.100 0.000
0.000 0.000 12.446
Ti Cr Cu S
4 4 4 16
Cartesian
0.000 1.818 0.000
0.000 7.761 2.359
1.706 3.339 8.582
1.706 9.282 6.223
0.000 2.195 5.682
0.000 7.364 8.269
1.706 3.736 2.046
1.706 8.905 11.905
0.000 5.254 5.066
0.000 10.895 3.185
1.706 0.206 9.408
1.706 5.847 11.289
0.000 1.660 8.007
0.000 3.453 3.613
0.000 4.131 0.360
0.000 4.953 9.185
0.000 7.250 0.052
0.000 9.004 4.537
0.000 9.701 7.896
0.000 10.464 11.367
1.706 0.636 5.144
1.706 1.399 1.672
1.706 2.096 10.760
1.706 3.850 6.275
1.706 6.148 2.962
1.706 6.969 6.583
1.706 7.648 9.837
1.706 9.441 1.783

---

(5)
HfSe3 (PBE, relaxed); formation energy = -1.367 eV/atom; uncorrected energy = -6.124 eV/atom; space-group type = P2_1/m (11); MP2020-corrected energy = -6.478 eV per atom
1.0
5.448 0.000 0.000
0.000 3.750 0.000
-1.098 0.000 10.139
Hf Se
2 6
Cartesian
0.813 0.937 3.589
3.537 2.812 6.550
-0.715 0.937 8.164
0.813 2.812 5.571
2.007 2.812 1.973
2.343 0.937 8.166
3.538 0.937 4.568
5.066 2.812 1.975

---

(6)
Mg6MnAl (PBE, relaxed); formation energy = 0.093 eV/atom; total magnetic moment = 3.5 μB per formula unit; uncorrected energy = -2.721 eV/atom
1.0
4.951 0.000 0.000
0.000 6.095 0.000
0.000 0.000 10.791
Mg Mn Al
12 2 2
Cartesian
0.000 3.047 3.542
0.000 3.047 8.966
0.000 4.595 6.324
0.000 0.000 8.937
2.475 4.572 9.892
2.475 4.570 4.497
2.475 1.525 4.497
0.000 4.547 0.928
0.000 1.500 6.324
0.000 0.000 3.570
2.475 1.523 9.892
0.000 1.547 0.928
2.475 0.000 7.205
2.475 3.047 1.810
2.475 3.047 7.207
2.475 0.000 1.811

---

(7)
BaNaVS4 (PBE, relaxed); formation energy = -1.591 eV/atom; total magnetic moment = 0.0 μB per formula unit; uncorrected energy = -5.428 eV/atom; space-group type = P2_1/c (14); MP2020-corrected energy = -5.715 eV per atom
1.0
6.535 0.000 0.000
0.000 9.616 0.000
-4.056 0.000 11.584
Ba Na V S
4 4 4 16
Cartesian
-0.597 1.106 3.987
-2.625 3.702 9.779
5.104 5.914 1.805
3.075 8.510 7.596
-0.370 5.919 6.081
1.658 8.504 0.289
0.821 1.111 11.295
2.849 3.696 5.503
-0.295 1.145 7.931
1.733 3.663 2.140
0.746 5.953 9.444
2.774 8.471 3.652
0.813 2.017 1.065
-1.215 2.791 6.857
-1.268 6.448 8.884
0.760 7.976 3.092
-1.503 0.671 9.677
0.525 4.137 3.885
1.796 5.416 0.901
-0.232 9.008 6.693
2.711 0.608 4.891
0.683 4.200 10.683
1.954 5.478 7.699
3.982 8.945 1.907
1.719 1.640 8.491
3.747 3.168 2.700
3.694 6.825 4.726
1.666 7.599 10.518

---

(8)
La3TaP2S4O24 (PBE, relaxed); formation energy = -2.767 eV/atom; total magnetic moment = 0.0 μB per formula unit; uncorrected energy = -7.364 eV/atom; space-group type = P1 (1); MP2020-corrected energy = -7.849 eV per atom
1.0
9.450 0.000 0.000
4.721 8.192 0.000
0.011 -0.001 23.873
La Ta P S O
9 3 6 12 72
Cartesian
0.000 0.000 0.000
4.733 8.174 17.284
4.765 8.112 11.849
4.791 2.699 4.090
4.851 2.730 15.888
9.520 5.493 1.318
9.521 5.426 20.002
9.566 5.444 7.925
9.566 5.383 12.930
4.774 8.161 5.424
4.734 2.744 8.902
4.862 2.621 21.113
2.107 2.439 6.652
5.917 5.145 6.656
7.402 2.596 18.702
6.331 0.536 6.665
10.688 7.920 22.595
12.313 5.173 10.515
3.616 4.972 18.770
7.277 7.979 2.876
6.275 5.920 14.609
3.375 0.533 18.743
6.672 5.181 22.576
8.331 8.058 10.494
7.813 3.091 10.487
11.522 8.015 14.592
8.434 2.262 2.894
12.817 6.083 2.888
11.169 3.112 22.566
10.752 2.353 14.613
3.898 6.697 1.664
0.965 1.542 13.426
1.275 1.724 22.804
3.913 6.265 10.767
1.281 1.073 6.429
4.328 6.257 18.781
3.940 4.743 3.050
2.851 2.747 5.371
2.775 2.508 14.714
5.145 6.550 6.425
3.859 4.223 17.537
3.209 3.057 22.301
3.663 3.852 10.050
1.911 0.467 18.768
4.122 4.176 19.966
6.471 8.118 1.656
6.374 7.838 4.087
5.737 6.647 13.437
3.182 2.187 7.790
2.196 0.223 10.723
5.713 6.273 22.802
5.962 6.650 15.864
5.145 4.336 7.785
3.430 0.956 3.031
3.776 1.388 19.961
5.644 4.573 14.662
3.884 1.160 17.529
5.815 4.361 5.365
5.844 3.914 22.333
4.353 1.148 10.121
7.315 5.486 7.102
8.086 6.736 2.797
7.486 5.440 21.389
8.460 7.112 9.379
7.738 5.778 14.474
8.679 7.388 18.914
6.328 3.079 10.128
5.259 1.144 22.268
8.948 7.516 11.720
7.507 4.946 23.771
6.362 2.490 19.970
6.548 2.769 17.455
6.010 1.577 7.796
5.730 1.024 5.360
5.927 1.020 14.668
6.986 2.440 3.046
7.960 3.892 11.720
10.028 7.315 23.850
8.288 3.807 18.966
10.631 7.328 7.051
8.548 3.698 9.373
10.477 7.033 21.378
10.687 6.802 14.471
9.113 3.572 2.792
8.239 1.698 10.712
7.439 0.068 22.838
8.192 1.293 18.710
7.938 0.468 6.435
12.408 8.141 13.417
12.322 7.913 15.841
8.703 1.481 1.675
11.339 6.008 2.808
10.117 3.688 14.503
9.003 1.539 4.100
11.366 5.515 9.368
10.489 3.670 21.391
10.550 3.480 7.074
11.617 5.182 18.934
10.934 3.951 23.762
11.518 4.848 11.790
13.150 6.946 4.089
10.251 1.701 15.856